Entry 1:
Mg16Al12Hg | PBE-GGA | optimized geometry

Output
Size of the total moment ... 0.00 μB/f.u.
DFT formation energy ... -0.87 eV per formula unit
E_tot ... -2.473 eV/atom

```
data_Mg16Al12Hg
_cell_length_a 10.5128
_cell_length_b 14.6778
_cell_length_c 9.1060
_cell_angle_alpha 90.00
_cell_angle_beta 123.73
_cell_angle_gamma 90.00
_space_group_name_H-M_alt 'C 1 m 1'
_space_group_IT_number 8
loop_
_space_group_symop_operation_xyz
'x,y,z'
'x,-y,z'
'x+1/2,y+1/2,z'
'x+1/2,-y+1/2,z'
loop_
_atom_site_label
_atom_site_type_symbol
_atom_site_fract_x
_atom_site_fract_y
_atom_site_fract_z
Mg1 Mg 0.0000 0.0000 0.0000
Mg2 Mg 0.0034 0.0000 0.3450
Mg3 Mg 0.0621 0.3441 0.4039
Mg4 Mg 0.1531 0.5000 0.6697
Mg5 Mg 0.1593 0.1583 0.6040
Mg6 Mg 0.1759 0.1758 0.9971
Mg7 Mg 0.1927 0.5000 0.2963
Mg8 Mg 0.3059 0.2990 0.3225
Mg9 Mg 0.4644 0.1365 0.0024
Mg10 Mg 0.4892 0.1932 0.6877
Al1 Al 0.0079 0.1855 0.1890
Al2 Al 0.1826 0.0000 0.8230
Al3 Al 0.2365 0.4079 0.0135
Al4 Al 0.2757 0.0942 0.3618
Al5 Al 0.3214 0.3142 0.8214
Al6 Al 0.3702 0.0000 0.1797
Al7 Al 0.4096 0.4066 0.6376
Hg1 Hg 0.3803 0.0000 0.6998
```

Entry 2:
Zn3Sn2Ge3O12 | PBE-GGA | optimized geometry

Output
Size of the total moment ... 0.00 μB/f.u.
DFT formation energy ... -35.42 eV per formula unit
E_tot ... -5.611 eV/atom

```
data_Zn3Sn2Ge3O12
_cell_length_a 12.5730
_cell_length_b 12.5730
_cell_length_c 12.5730
_cell_angle_alpha 90.00
_cell_angle_beta 90.00
_cell_angle_gamma 90.00
_space_group_name_H-M_alt 'I a -3 d'
_space_group_IT_number 230
_space_group_name_Hall '-I 4bd 2c 3'
loop_
_atom_site_label
_atom_site_type_symbol
_atom_site_fract_x
_atom_site_fract_y
_atom_site_fract_z
Zn1 Zn 0.0000 0.2500 0.1250
Sn1 Sn 0.0000 0.0000 0.0000
Ge1 Ge 0.0000 0.2500 0.3750
O1 O 0.0278 0.0542 0.6578
```

> Which of these has the lowest E_tot?

Zn3Sn2Ge3O12